A relaxed CrP2W crystal. Source: Materials Project, functional meta-GGA r2SCAN.

Structure (POSCAR):
```
CrP2W
1.0
3.1719 0.0000 0.0000
0.0000 6.0822 0.0000
0.0000 0.0000 5.5098
Cr P W
2 4 2
Direct
0.0000 0.0651 0.0000 Cr
0.0000 0.9349 0.5000 Cr
0.0000 0.2984 0.3312 P
0.0000 0.7016 0.8312 P
0.5000 0.1657 0.6984 P
0.5000 0.8343 0.1984 P
0.5000 0.4426 0.0179 W
0.5000 0.5574 0.5179 W
```

Values from the calculation:
spin magnetization = 0.00 μB/cell
energy of formation = -0.373 eV per atom